# 1
# Mg14VSnO16

Mg14VSnO16 after structural relaxation (GGA+U, the Materials Project).

Results
For the calculated formation energy, the calculation gives -2788 meV/atom. The space group is Pmmm (47). The value obtained for the uncorrected energy is -5.9747 eV/atom. The magnetization is 3.0 Bohr magnetons per cell. The density comes out at 3.8 Mg/m³.

Unit cell a=4.367 b=8.671 c=8.736 alpha=90.00 beta=90.00 gamma=90.00
Positions (direct):
1 Mg 0.000 0.000 0.000
2 Mg 0.000 0.000 0.500
3 Mg 0.000 0.245 0.246
4 Mg 0.000 0.245 0.754
5 Mg 0.000 0.755 0.246
6 Mg 0.000 0.755 0.754
7 Mg 0.500 0.000 0.248
8 Mg 0.500 0.000 0.752
9 Mg 0.500 0.241 0.500
10 Mg 0.500 0.248 0.000
11 Mg 0.500 0.500 0.242
12 Mg 0.500 0.500 0.758
13 Mg 0.500 0.752 0.000
14 Mg 0.500 0.759 0.500
15 V 0.000 0.500 0.000
16 Sn 0.000 0.500 0.500
17 O 0.000 0.000 0.245
18 O 0.000 0.000 0.755
19 O 0.000 0.227 0.500
20 O 0.000 0.243 0.000
21 O 0.000 0.500 0.236
22 O 0.000 0.500 0.764
23 O 0.000 0.757 0.000
24 O 0.000 0.773 0.500
25 O 0.500 0.000 0.000
26 O 0.500 0.000 0.500
27 O 0.500 0.250 0.249
28 O 0.500 0.250 0.751
29 O 0.500 0.500 0.000
30 O 0.500 0.500 0.500
31 O 0.500 0.750 0.249
32 O 0.500 0.750 0.751

***

# 2
# Mg2SnWO6

Mg2SnWO6 after structural relaxation (GGA+U, the Materials Project).

Results
For the calculated formation energy, the calculation gives -2352 meV/atom. The largest piezoelectric modulus comes out at 1.81 C/m². The space group is P1 (1). The value obtained for the uncorrected energy is -6.4817 eV/atom. The magnetization is 0.0 Bohr magnetons per cell. The density comes out at 5.2 Mg/m³.

Unit cell a=5.242 b=5.706 c=5.716 alpha=73.24 beta=66.73 gamma=67.51
Positions (direct):
1 Mg 0.000 0.000 0.000
2 Mg 0.474 0.592 0.635
3 Sn 0.260 0.179 0.402
4 W 0.741 0.590 0.023
5 O 0.029 0.738 0.785
6 O 0.063 0.281 0.115
7 O 0.437 0.814 0.896
8 O 0.470 0.451 0.350
9 O 0.699 0.810 0.265
10 O 0.756 0.345 0.830

***

# 3
# Mg2SnWO6

Mg2SnWO6 after structural relaxation (GGA+U, the Materials Project).

Results
For the calculated formation energy, the calculation gives -2332 meV/atom. The space group is P2_1/c (14). The value obtained for the uncorrected energy is -6.4613 eV/atom. The magnetization is 0.0 Bohr magnetons per cell. The density comes out at 5.9 Mg/m³.

Unit cell a=5.573 b=5.573 c=9.784 alpha=90.00 beta=124.05 gamma=90.00
Positions (direct):
1 Mg 0.189 0.016 0.223
2 Mg 0.189 0.484 0.723
3 Mg 0.811 0.516 0.277
4 Mg 0.811 0.984 0.777
5 Sn 0.000 0.000 0.500
6 Sn 0.000 0.500 0.000
7 W 0.500 0.000 0.000
8 W 0.500 0.500 0.500
9 O 0.162 0.135 0.787
10 O 0.162 0.365 0.287
11 O 0.227 0.629 0.544
12 O 0.227 0.871 0.044
13 O 0.495 0.705 0.894
14 O 0.495 0.795 0.394
15 O 0.505 0.205 0.606
16 O 0.505 0.295 0.106
17 O 0.773 0.129 0.956
18 O 0.773 0.371 0.456
19 O 0.838 0.635 0.713
20 O 0.838 0.865 0.213

***

# 4
# MgSn2WO6

MgSn2WO6 after structural relaxation (GGA+U, the Materials Project).

Results
For the calculated formation energy, the calculation gives -2026 meV/atom. The space group is Fm-3m (225). The value obtained for the uncorrected energy is -6.3966 eV/atom. The magnetization is 0.0 Bohr magnetons per cell. The density comes out at 6.9 Mg/m³.

Unit cell a=5.679 b=5.679 c=5.679 alpha=60.00 beta=60.00 gamma=60.00
Positions (direct):
1 Mg 0.000 0.000 0.000
2 Sn 0.250 0.250 0.250
3 Sn 0.750 0.750 0.750
4 W 0.500 0.500 0.500
5 O 0.257 0.257 0.743
6 O 0.257 0.743 0.257
7 O 0.257 0.743 0.743
8 O 0.743 0.257 0.257
9 O 0.743 0.257 0.743
10 O 0.743 0.743 0.257

***

# 5
# SrMgV2O7

SrMgV2O7 after structural relaxation (GGA+U, the Materials Project).

Results
For the calculated formation energy, the calculation gives -2805 meV/atom. The space group is P2_1/c (14). The value obtained for the uncorrected energy is -7.1586 eV/atom. The magnetization is 0.0 Bohr magnetons per cell. The density comes out at 3.7 Mg/m³.

Unit cell a=6.924 b=15.044 c=11.499 alpha=90.00 beta=99.13 gamma=90.00
Positions (direct):
1 Sr 0.083 0.005 0.245
2 Sr 0.083 0.495 0.745
3 Sr 0.342 0.124 0.979
4 Sr 0.342 0.376 0.479
5 Sr 0.658 0.624 0.521
6 Sr 0.658 0.876 0.021
7 Sr 0.917 0.505 0.255
8 Sr 0.917 0.995 0.755
9 Mg 0.004 0.246 0.250
10 Mg 0.004 0.254 0.750
11 Mg 0.361 0.676 0.923
12 Mg 0.361 0.824 0.423
13 Mg 0.639 0.176 0.577
14 Mg 0.639 0.324 0.077
15 Mg 0.996 0.746 0.250
16 Mg 0.996 0.754 0.750
17 V 0.127 0.137 0.521
18 V 0.127 0.363 0.021
19 V 0.156 0.636 0.518
20 V 0.156 0.864 0.018
21 V 0.409 0.512 0.177
22 V 0.409 0.988 0.677
23 V 0.486 0.700 0.201
24 V 0.486 0.800 0.701
25 V 0.514 0.200 0.299
26 V 0.514 0.300 0.799
27 V 0.591 0.012 0.323
28 V 0.591 0.488 0.823
29 V 0.844 0.136 0.982
30 V 0.844 0.364 0.482
31 V 0.873 0.637 0.979
32 V 0.873 0.863 0.479
33 O 0.000 0.143 0.116
34 O 0.000 0.357 0.616
35 O 0.000 0.643 0.384
36 O 0.000 0.857 0.884
37 O 0.010 0.646 0.629
38 O 0.010 0.854 0.129
39 O 0.031 0.142 0.373
40 O 0.031 0.358 0.873
41 O 0.050 0.658 0.886
42 O 0.050 0.842 0.386
43 O 0.221 0.028 0.550
44 O 0.221 0.472 0.050
45 O 0.261 0.533 0.537
46 O 0.261 0.967 0.037
47 O 0.284 0.018 0.786
48 O 0.284 0.482 0.286
49 O 0.311 0.236 0.798
50 O 0.311 0.264 0.298
51 O 0.312 0.745 0.276
52 O 0.312 0.755 0.776
53 O 0.320 0.208 0.550
54 O 0.320 0.292 0.050
55 O 0.348 0.715 0.534
56 O 0.348 0.785 0.034
57 O 0.399 0.619 0.085
58 O 0.399 0.881 0.585
59 O 0.406 0.560 0.833
60 O 0.406 0.940 0.333
61 O 0.428 0.102 0.216
62 O 0.428 0.398 0.716
63 O 0.572 0.602 0.284
64 O 0.572 0.898 0.784
65 O 0.594 0.060 0.667
66 O 0.594 0.440 0.167
67 O 0.601 0.119 0.415
68 O 0.601 0.381 0.915
69 O 0.652 0.215 0.966
70 O 0.652 0.285 0.466
71 O 0.680 0.708 0.950
72 O 0.680 0.792 0.450
73 O 0.688 0.245 0.224
74 O 0.688 0.255 0.724
75 O 0.689 0.736 0.702
76 O 0.689 0.764 0.202
77 O 0.716 0.518 0.714
78 O 0.716 0.982 0.214
79 O 0.739 0.033 0.963
80 O 0.739 0.467 0.463
81 O 0.779 0.528 0.950
82 O 0.779 0.972 0.450
83 O 0.950 0.158 0.614
84 O 0.950 0.342 0.114
85 O 0.969 0.642 0.127
86 O 0.969 0.858 0.627
87 O 0.990 0.146 0.871
88 O 0.990 0.354 0.371

***

# 6
# SrMgVO3

SrMgVO3 after structural relaxation (GGA+U, the Materials Project).

Results
For the calculated formation energy, the calculation gives -2024 meV/atom. The space group is P4/mmm (123). The value obtained for the uncorrected energy is -5.9329 eV/atom. The magnetization is 2.8 Bohr magnetons per cell. The density comes out at 3.6 Mg/m³.

Unit cell a=3.985 b=3.985 c=6.144 alpha=90.00 beta=90.00 gamma=90.00
Positions (direct):
1 Sr 0.000 0.000 0.000
2 Mg 0.000 0.000 0.500
3 V 0.500 0.500 0.500
4 O 0.000 0.500 0.500
5 O 0.500 0.000 0.500
6 O 0.500 0.500 0.000

***

# 7
# SrMg14VO16

SrMg14VO16 after structural relaxation (GGA+U, the Materials Project).

Results
For the calculated formation energy, the calculation gives -2900 meV/atom. The space group is Pmmm (47). The value obtained for the uncorrected energy is -6.0139 eV/atom. The magnetization is 3.0 Bohr magnetons per cell. The density comes out at 3.7 Mg/m³.

Unit cell a=4.396 b=8.645 c=8.727 alpha=90.00 beta=90.00 gamma=90.00
Positions (direct):
1 Sr 0.000 0.000 0.000
2 Mg 0.000 0.256 0.255
3 Mg 0.000 0.256 0.745
4 Mg 0.000 0.500 0.000
5 Mg 0.000 0.500 0.500
6 Mg 0.000 0.744 0.255
7 Mg 0.000 0.744 0.745
8 Mg 0.500 0.000 0.258
9 Mg 0.500 0.000 0.742
10 Mg 0.500 0.252 0.500
11 Mg 0.500 0.259 0.000
12 Mg 0.500 0.500 0.251
13 Mg 0.500 0.500 0.749
14 Mg 0.500 0.741 0.000
15 Mg 0.500 0.748 0.500
16 V 0.000 0.000 0.500
17 O 0.000 0.000 0.265
18 O 0.000 0.000 0.735
19 O 0.000 0.257 0.500
20 O 0.000 0.272 0.000
21 O 0.000 0.500 0.255
22 O 0.000 0.500 0.745
23 O 0.000 0.728 0.000
24 O 0.000 0.743 0.500
25 O 0.500 0.000 0.000
26 O 0.500 0.000 0.500
27 O 0.500 0.250 0.251
28 O 0.500 0.250 0.749
29 O 0.500 0.500 0.000
30 O 0.500 0.500 0.500
31 O 0.500 0.750 0.251
32 O 0.500 0.750 0.749

***

# 8
# SrMg14VO16

SrMg14VO16 after structural relaxation (GGA+U, the Materials Project).

Results
For the calculated formation energy, the calculation gives -2905 meV/atom. The space group is P4/mmm (123). The value obtained for the uncorrected energy is -6.0192 eV/atom. The magnetization is 3.0 Bohr magnetons per cell. The density comes out at 3.7 Mg/m³.

Unit cell a=8.671 b=8.671 c=4.400 alpha=90.00 beta=90.00 gamma=90.00
Positions (direct):
1 Sr 0.000 0.000 0.000
2 Mg 0.000 0.260 0.500
3 Mg 0.000 0.500 0.000
4 Mg 0.000 0.740 0.500
5 Mg 0.250 0.500 0.500
6 Mg 0.255 0.255 0.000
7 Mg 0.255 0.745 0.000
8 Mg 0.260 0.000 0.500
9 Mg 0.500 0.000 0.000
10 Mg 0.500 0.250 0.500
11 Mg 0.500 0.750 0.500
12 Mg 0.740 0.000 0.500
13 Mg 0.745 0.255 0.000
14 Mg 0.745 0.745 0.000
15 Mg 0.750 0.500 0.500
16 V 0.500 0.500 0.000
17 O 0.000 0.000 0.500
18 O 0.000 0.271 0.000
19 O 0.000 0.500 0.500
20 O 0.000 0.729 0.000
21 O 0.249 0.500 0.000
22 O 0.251 0.251 0.500
23 O 0.251 0.749 0.500
24 O 0.271 0.000 0.000
25 O 0.500 0.000 0.500
26 O 0.500 0.249 0.000
27 O 0.500 0.500 0.500
28 O 0.500 0.751 0.000
29 O 0.729 0.000 0.000
30 O 0.749 0.251 0.500
31 O 0.749 0.749 0.500
32 O 0.751 0.500 0.000

***

# 9
# SrMgVO3

SrMgVO3 after structural relaxation (GGA+U, the Materials Project).

Results
For the calculated formation energy, the calculation gives -2244 meV/atom. The space group is Cm (8). The value obtained for the uncorrected energy is -6.1531 eV/atom. The magnetization is 3.0 Bohr magnetons per cell. The density comes out at 4.0 Mg/m³.

Unit cell a=4.466 b=4.466 c=4.481 alpha=98.79 beta=98.79 gamma=81.27
Positions (direct):
1 Sr 0.000 0.000 0.000
2 Mg 0.636 0.636 0.365
3 V 0.346 0.346 0.653
4 O 0.361 0.860 0.636
5 O 0.363 0.363 0.138
6 O 0.860 0.361 0.636

***

# 10
# SrMg6VO8

SrMg6VO8 after structural relaxation (GGA+U, the Materials Project).

Results
For the calculated formation energy, the calculation gives -2764 meV/atom. The space group is P4/mmm (123). The value obtained for the uncorrected energy is -6.0612 eV/atom. The magnetization is 3.0 Bohr magnetons per cell. The density comes out at 3.9 Mg/m³.

Unit cell a=4.497 b=4.497 c=8.755 alpha=90.00 beta=90.00 gamma=90.00
Positions (direct):
1 Sr 0.000 0.000 0.000
2 Mg 0.000 0.000 0.500
3 Mg 0.000 0.500 0.262
4 Mg 0.000 0.500 0.738
5 Mg 0.500 0.000 0.262
6 Mg 0.500 0.000 0.738
7 Mg 0.500 0.500 0.500
8 V 0.500 0.500 0.000
9 O 0.000 0.000 0.273
10 O 0.000 0.000 0.727
11 O 0.000 0.500 0.000
12 O 0.000 0.500 0.500
13 O 0.500 0.000 0.000
14 O 0.500 0.000 0.500
15 O 0.500 0.500 0.257
16 O 0.500 0.500 0.743

***

# 11
# SrMg6VO8

SrMg6VO8 after structural relaxation (GGA+U, the Materials Project).

Results
For the calculated formation energy, the calculation gives -2739 meV/atom. The space group is P4/mmm (123). The value obtained for the uncorrected energy is -6.0372 eV/atom. The magnetization is 3.0 Bohr magnetons per cell. The density comes out at 3.8 Mg/m³.

Unit cell a=4.489 b=4.489 c=8.850 alpha=90.00 beta=90.00 gamma=90.00
Positions (direct):
1 Sr 0.000 0.000 0.000
2 Mg 0.000 0.500 0.259
3 Mg 0.000 0.500 0.741
4 Mg 0.500 0.000 0.259
5 Mg 0.500 0.000 0.741
6 Mg 0.500 0.500 0.000
7 Mg 0.500 0.500 0.500
8 V 0.000 0.000 0.500
9 O 0.000 0.000 0.266
10 O 0.000 0.000 0.734
11 O 0.000 0.500 0.000
12 O 0.000 0.500 0.500
13 O 0.500 0.000 0.000
14 O 0.500 0.000 0.500
15 O 0.500 0.500 0.253
16 O 0.500 0.500 0.747

***

# 12
# Sr2MgW2O8

Sr2MgW2O8 after structural relaxation (GGA+U, the Materials Project).

Results
For the calculated formation energy, the calculation gives -2652 meV/atom. The space group is P1 (1). The value obtained for the uncorrected energy is -6.9682 eV/atom. The magnetization is 2.0 Bohr magnetons per cell. The density comes out at 5.3 Mg/m³.

Unit cell a=5.418 b=5.534 c=8.148 alpha=106.73 beta=106.02 gamma=99.05
Positions (direct):
1 Sr 0.000 0.000 0.000
2 Sr 0.310 0.808 0.617
3 Mg 0.646 0.148 0.293
4 W 0.482 0.482 0.965
5 W 0.846 0.345 0.691
6 O 0.131 0.167 0.764
7 O 0.190 0.649 0.884
8 O 0.439 0.318 0.139
9 O 0.552 0.075 0.494
10 O 0.634 0.596 0.764
11 O 0.694 0.235 0.885
12 O 0.696 0.822 0.138
13 O 0.944 0.419 0.493

***

# 13
# Mg2TaVO6

Mg2TaVO6 after structural relaxation (GGA+U, the Materials Project).

Results
For the calculated formation energy, the calculation gives -2987 meV/atom. The space group is P2_1/m (11). The value obtained for the uncorrected energy is -7.7882 eV/atom. The magnetization is 4.0 Bohr magnetons per cell. The density comes out at 5.8 Mg/m³.

Unit cell a=5.222 b=7.555 c=5.445 alpha=90.00 beta=90.30 gamma=90.00
Positions (direct):
1 Mg 0.004 0.250 0.042
2 Mg 0.483 0.250 0.565
3 Mg 0.517 0.750 0.435
4 Mg 0.996 0.750 0.958
5 Ta 0.000 0.000 0.500
6 Ta 0.000 0.500 0.500
7 V 0.500 0.000 0.000
8 V 0.500 0.500 0.000
9 O 0.136 0.750 0.557
10 O 0.172 0.069 0.811
11 O 0.172 0.431 0.811
12 O 0.313 0.069 0.321
13 O 0.313 0.431 0.321
14 O 0.382 0.750 0.058
15 O 0.618 0.250 0.942
16 O 0.687 0.569 0.679
17 O 0.687 0.931 0.679
18 O 0.828 0.569 0.189
19 O 0.828 0.931 0.189
20 O 0.864 0.250 0.443

***

# 14
# Tb4MgW2O12

Tb4MgW2O12 after structural relaxation (GGA+U, the Materials Project).

Results
For the calculated formation energy, the calculation gives -3097 meV/atom. The space group is P1 (1). The value obtained for the uncorrected energy is -7.7449 eV/atom. The magnetization is 0.0 Bohr magnetons per cell. The density comes out at 7.8 Mg/m³.

Unit cell a=5.340 b=5.706 c=8.482 alpha=92.31 beta=91.63 gamma=90.31
Positions (direct):
1 Tb 0.000 0.000 0.000
2 Tb 0.046 0.453 0.703
3 Tb 0.461 0.984 0.723
4 Tb 0.549 0.476 0.968
5 Mg 0.551 0.583 0.510
6 W 0.040 0.673 0.324
7 W 0.530 0.152 0.332
8 O 0.203 0.955 0.253
9 O 0.210 0.735 0.531
10 O 0.235 0.728 0.874
11 O 0.258 0.233 0.878
12 O 0.313 0.473 0.263
13 O 0.381 0.262 0.545
14 O 0.656 0.156 0.118
15 O 0.696 0.660 0.741
16 O 0.724 0.871 0.412
17 O 0.776 0.203 0.818
18 O 0.845 0.415 0.417
19 O 0.866 0.657 0.127